--- 1 ---
VASP calculation (GGA-PBE) on an optimized crystal structure of MgSi2.

Cell lengths 3.6125, 6.1693, 9.2772 Å; angles 84.83, 89.15, 88.77 degrees
With the nearest neighbours (Å) after each atom.
Positions (direct):
Si: 0.2745 0.1265 0.1177  3 Si 2.41-2.53
Si: 0.2533 0.6270 0.4318  4 Si 2.61-2.67, 2 Mg 2.76-2.81
Si: 0.2214 0.7546 0.0630  3 Si 2.41-2.53
Mg: 0.7501 0.8531 0.5910  7 Si 2.72-2.99, 2 Mg 2.97-2.98
Mg: 0.2499 0.1469 0.4090  7 Si 2.72-2.99, 2 Mg 2.97-2.98
Si: 0.7528 0.8608 0.2825  5 Si 2.62-2.86, 4 Mg 2.71-2.88
Si: 0.7255 0.8735 0.8823  3 Si 2.41-2.53
Si: 0.7786 0.2454 0.9370  3 Si 2.41-2.53
Si: 0.2472 0.1392 0.7175  5 Si 2.62-2.86, 4 Mg 2.71-2.88
Mg: 0.2529 0.5541 0.7921  7 Si 2.71-2.99
Si: 0.7467 0.3730 0.5682  4 Si 2.61-2.67, 2 Mg 2.76-2.81
Mg: 0.7471 0.4459 0.2079  7 Si 2.71-2.99

--- 2 ---
VASP calculation (GGA-PBE) on an optimized crystal structure of MgSi2.

Cell lengths 5.9824, 7.2265, 9.8700 Å; angles 81.47, 90.00, 90.00 degrees
With the nearest neighbours (Å) after each atom.
Positions (direct):
Si: 0.7977 0.8437 0.6535  4 Si 2.42-2.65
Mg: 0.5000 0.4382 0.1085  8 Si 2.83-3.02, 2 Mg 3.06
Mg: 0.5000 0.5627 0.6015  10 Si 2.80-3.01, 2 Mg 3.05
Si: 0.2935 0.4252 0.3800  3 Si 2.47-2.67
Si: 0.2949 0.8072 0.1526  3 Si 2.45-2.50
Mg: 0.0000 0.4827 0.6124  12 Si 2.84-3.13, 2 Mg 3.05
Si: 0.7079 0.5888 0.8526  3 Si 2.45-2.54
Si: 0.7051 0.8072 0.1526  3 Si 2.45-2.50
Si: 0.1992 0.7558 0.4023  4 Si 2.38-2.65
Si: 0.3012 0.1784 0.6103  3 Si 2.38-2.51
Mg: 0.5000 0.0598 0.3326  8 Si 2.84-3.01, 2 Mg 3.08
Si: 0.7065 0.4252 0.3800  3 Si 2.47-2.67
Mg: 0.0000 0.8686 0.9276  10 Si 2.82-3.08, 3 Mg 3.09-3.15
Si: 0.2017 0.2601 0.8419  4 Si 2.41-2.57
Si: 0.1976 0.1394 0.1002  3 Si 2.36-2.57
Si: 0.8024 0.1394 0.1002  3 Si 2.36-2.57
Si: 0.7983 0.2601 0.8419  4 Si 2.41-2.57
Si: 0.2023 0.8437 0.6535  4 Si 2.42-2.65
Si: 0.8008 0.7558 0.4023  4 Si 2.38-2.65
Mg: 0.0000 0.1262 0.3842  8 Si 2.78-3.03, 2 Mg 3.08
Mg: 0.5000 0.9562 0.8747  10 Si 2.81-3.09, 2 Mg 3.09
Mg: 0.0000 0.5027 0.1446  6 Si 2.83-2.97, 3 Mg 3.06-3.15
Si: 0.2921 0.5888 0.8526  3 Si 2.45-2.54
Si: 0.6988 0.1784 0.6103  3 Si 2.38-2.51

Q: Which of them is the least stable? A: 1.

--- 1 ---
VASP calculation (GGA-PBE) on an optimized crystal structure of MoCl5.

Cell lengths 6.4882, 12.3576, 18.2676 Å; angles 90.00, 90.00, 90.00 degrees
With the nearest neighbours (Å) after each atom.
Positions (direct):
Cl: 0.7463 0.4792 0.7500  2 Mo 2.54
Cl: 0.4256 0.2672 0.9383  1 Mo 2.27
Cl: 0.5744 0.7328 0.4383  1 Mo 2.27
Cl: 0.1840 0.9901 0.6560  1 Mo 2.29
Cl: 0.7537 0.9792 0.7500  2 Mo 2.54
Cl: 0.1341 0.7379 0.1555  1 Mo 2.28
Cl: 0.0653 0.7712 0.7500  2 Mo 2.54
Cl: 0.2475 0.5164 0.0610  1 Mo 2.27
Cl: 0.2537 0.5208 0.2500  2 Mo 2.54
Cl: 0.0744 0.7672 0.9383  1 Mo 2.27
Cl: 0.6341 0.7621 0.8445  1 Mo 2.28
Cl: 0.3160 0.4901 0.6560  1 Mo 2.29
Cl: 0.2475 0.5164 0.4390  1 Mo 2.27
Cl: 0.8659 0.2621 0.6555  1 Mo 2.28
Cl: 0.1840 0.9901 0.8440  1 Mo 2.29
Cl: 0.7475 0.9836 0.9390  1 Mo 2.27
Cl: 0.4256 0.2672 0.5617  1 Mo 2.27
Cl: 0.7475 0.9836 0.5610  1 Mo 2.27
Mo: 0.0901 0.1245 0.1435  6 Cl 2.27-2.54
Cl: 0.6341 0.7621 0.6555  1 Mo 2.28
Cl: 0.8160 0.0099 0.3440  1 Mo 2.29
Cl: 0.2525 0.0164 0.0610  1 Mo 2.27
Mo: 0.9099 0.8755 0.6435  6 Cl 2.27-2.54
Cl: 0.6840 0.5099 0.3440  1 Mo 2.29
Mo: 0.4099 0.6245 0.1435  6 Cl 2.27-2.54
Cl: 0.3659 0.2379 0.3445  1 Mo 2.28
Cl: 0.8659 0.2621 0.8445  1 Mo 2.28
Cl: 0.7525 0.4836 0.5610  1 Mo 2.27
Mo: 0.9099 0.8755 0.8565  6 Cl 2.27-2.54
Cl: 0.9256 0.2328 0.0617  1 Mo 2.27
Cl: 0.5653 0.7288 0.2500  2 Mo 2.54
Cl: 0.4347 0.2712 0.7500  2 Mo 2.54
Cl: 0.6840 0.5099 0.1560  1 Mo 2.29
Cl: 0.1341 0.7379 0.3445  1 Mo 2.28
Cl: 0.3659 0.2379 0.1555  1 Mo 2.28
Cl: 0.9347 0.2288 0.2500  2 Mo 2.54
Cl: 0.9256 0.2328 0.4383  1 Mo 2.27
Mo: 0.4099 0.6245 0.3565  6 Cl 2.27-2.54
Cl: 0.8160 0.0099 0.1560  1 Mo 2.29
Cl: 0.2525 0.0164 0.4390  1 Mo 2.27
Cl: 0.7525 0.4836 0.9390  1 Mo 2.27
Cl: 0.0744 0.7672 0.5617  1 Mo 2.27
Cl: 0.2463 0.0208 0.2500  2 Mo 2.54
Cl: 0.5744 0.7328 0.0617  1 Mo 2.27
Cl: 0.3160 0.4901 0.8440  1 Mo 2.29
Mo: 0.5901 0.3755 0.6435  6 Cl 2.27-2.54
Mo: 0.0901 0.1245 0.3565  6 Cl 2.27-2.54
Mo: 0.5901 0.3755 0.8565  6 Cl 2.27-2.54

--- 2 ---
VASP calculation (GGA-PBE) on an optimized crystal structure of MoCl5.

Cell lengths 12.3814, 9.7278, 12.9652 Å; angles 70.28, 90.00, 90.00 degrees
With the nearest neighbours (Å) after each atom.
Positions (direct):
Cl: 0.2340 0.0949 0.6867  2 Mo 2.54-2.55
Cl: 0.0112 0.4682 0.7417  1 Mo 2.27
Cl: 0.2644 0.9063 0.4499  1 Mo 2.28
Mo: 0.8755 0.6944 0.2936  5 Cl 2.27-2.54
Cl: 0.4841 0.7158 0.4311  1 Mo 2.27
Cl: 0.7686 0.7175 0.1449  1 Mo 2.29
Cl: 0.0193 0.0913 0.8346  2 Mo 2.54
Cl: 0.7644 0.0937 0.0501  1 Mo 2.28
Cl: 0.7660 0.9051 0.3133  2 Mo 2.54-2.55
Cl: 0.9888 0.5318 0.2583  1 Mo 2.27
Cl: 0.5220 0.0959 0.8350  1 Mo 2.29
Mo: 0.8720 0.1194 0.1855  5 Cl 2.27-2.54
Cl: 0.9807 0.9087 0.1654  2 Mo 2.54
Cl: 0.9821 0.7222 0.4291  1 Mo 2.29
Cl: 0.2314 0.2825 0.8551  1 Mo 2.29
Mo: 0.1280 0.8806 0.8145  5 Cl 2.27-2.54
Mo: 0.3755 0.3056 0.2064  5 Cl 2.27-2.54
Cl: 0.2591 0.7175 0.2799  1 Mo 2.27
Cl: 0.2409 0.7175 0.7799  1 Mo 2.27
Cl: 0.0159 0.7158 0.9311  1 Mo 2.27
Mo: 0.1245 0.3056 0.7064  5 Cl 2.27-2.54
Cl: 0.5193 0.9087 0.6654  2 Mo 2.54
Cl: 0.7356 0.0937 0.5501  1 Mo 2.28
Cl: 0.2656 0.4722 0.0880  1 Mo 2.27
Cl: 0.5112 0.5318 0.7583  1 Mo 2.27
Cl: 0.7344 0.5278 0.9120  1 Mo 2.27
Cl: 0.7340 0.9051 0.8133  2 Mo 2.54-2.55
Cl: 0.2356 0.9063 0.9499  1 Mo 2.28
Cl: 0.9841 0.2842 0.0689  1 Mo 2.27
Cl: 0.2686 0.2825 0.3551  1 Mo 2.29
Mo: 0.6280 0.1194 0.6855  5 Cl 2.27-2.54
Cl: 0.5179 0.7222 0.9291  1 Mo 2.29
Mo: 0.6245 0.6944 0.7936  5 Cl 2.27-2.54
Cl: 0.4888 0.4682 0.2417  1 Mo 2.27
Cl: 0.0179 0.2778 0.5709  1 Mo 2.29
Mo: 0.3720 0.8806 0.3145  5 Cl 2.27-2.54
Cl: 0.5159 0.2842 0.5689  1 Mo 2.27
Cl: 0.4821 0.2778 0.0709  1 Mo 2.29
Cl: 0.7409 0.2825 0.7201  1 Mo 2.27
Cl: 0.7314 0.7175 0.6449  1 Mo 2.29
Cl: 0.4807 0.0913 0.3346  2 Mo 2.54
Cl: 0.9780 0.0959 0.3350  1 Mo 2.29
Cl: 0.0220 0.9041 0.6650  1 Mo 2.29
Cl: 0.2344 0.4722 0.5880  1 Mo 2.27
Cl: 0.4780 0.9041 0.1650  1 Mo 2.29
Cl: 0.7591 0.2825 0.2201  1 Mo 2.27
Cl: 0.2660 0.0949 0.1867  2 Mo 2.54-2.55
Cl: 0.7656 0.5278 0.4120  1 Mo 2.27

Q: Which of them is the least stable? A: 2.